Entry 1:
Computed, not measured: an optimized crystal structure of Li2U4W4O25 at the PBE+U level of DFT.

Cell: 7.773 7.773 22.503 Å, 98.38 98.38 49.14°
Positions (direct):
Li1 0.068 0.145 0.446
Li2 0.145 0.068 0.946
Li3 0.855 0.932 0.054
Li4 0.932 0.855 0.554
U1 0.246 0.338 0.345
U2 0.338 0.246 0.845
U3 0.464 0.536 0.750
U4 0.500 0.500 0.000
U5 0.500 0.500 0.500
U6 0.536 0.464 0.250
U7 0.662 0.754 0.155
U8 0.754 0.662 0.655
W1 0.081 0.088 0.190
W2 0.088 0.081 0.690
W3 0.276 0.288 0.090
W4 0.288 0.276 0.590
W5 0.712 0.724 0.410
W6 0.724 0.712 0.910
W7 0.912 0.919 0.310
W8 0.919 0.912 0.810
O1 0.004 0.983 0.127
O2 0.007 0.454 0.876
O3 0.014 0.589 0.598
O4 0.017 0.996 0.373
O5 0.074 0.926 0.750
O6 0.121 0.264 0.652
O7 0.163 0.240 0.274
O8 0.176 0.211 0.025
O9 0.191 0.592 0.808
O10 0.200 0.626 0.287
O11 0.211 0.176 0.525
O12 0.212 0.758 0.518
O13 0.240 0.163 0.774
O14 0.242 0.788 0.982
O15 0.264 0.121 0.152
O16 0.316 0.462 0.056
O17 0.341 0.436 0.414
O18 0.374 0.800 0.213
O19 0.376 0.439 0.682
O20 0.408 0.809 0.692
O21 0.411 0.986 0.902
O22 0.436 0.341 0.914
O23 0.439 0.376 0.182
O24 0.454 0.007 0.376
O25 0.462 0.316 0.556
O26 0.538 0.684 0.444
O27 0.546 0.993 0.624
O28 0.561 0.624 0.818
O29 0.564 0.659 0.086
O30 0.589 0.014 0.098
O31 0.592 0.191 0.308
O32 0.624 0.561 0.318
O33 0.626 0.200 0.787
O34 0.659 0.564 0.586
O35 0.684 0.538 0.944
O36 0.736 0.879 0.848
O37 0.758 0.212 0.018
O38 0.760 0.837 0.226
O39 0.788 0.242 0.482
O40 0.789 0.824 0.475
O41 0.800 0.374 0.713
O42 0.809 0.408 0.192
O43 0.824 0.789 0.975
O44 0.837 0.760 0.726
O45 0.879 0.736 0.348
O46 0.926 0.074 0.250
O47 0.983 0.004 0.627
O48 0.986 0.411 0.402
O49 0.993 0.546 0.124
O50 0.996 0.017 0.873

Summary:
Space-group type: C2/c (15)
Total moment, μB per formula unit: 0.00
E_tot, eV/atom: -8.273

---

Entry 2:
Computed, not measured: an optimized crystal structure of Li2UW2O10 at the PBE+U level of DFT.

Cell: 7.883 13.071 7.616 Å, 90.00 90.02 90.00°
Positions (direct):
Li1 0.000 0.005 0.000
Li2 0.000 0.995 0.500
Li3 0.457 0.493 0.012
Li4 0.457 0.507 0.512
Li5 0.643 0.487 0.763
Li6 0.643 0.513 0.263
Li7 0.829 0.493 0.514
Li8 0.829 0.507 0.014
U1 0.143 0.482 0.263
U2 0.143 0.518 0.763
U3 0.635 0.021 0.761
U4 0.635 0.979 0.261
W1 0.119 0.244 0.511
W2 0.119 0.756 0.011
W3 0.168 0.244 0.013
W4 0.168 0.756 0.513
W5 0.619 0.257 0.512
W6 0.619 0.743 0.012
W7 0.667 0.257 0.013
W8 0.667 0.743 0.513
O1 0.131 0.113 0.462
O2 0.131 0.887 0.962
O3 0.138 0.408 0.542
O4 0.138 0.592 0.042
O5 0.141 0.114 0.062
O6 0.141 0.886 0.562
O7 0.144 0.239 0.762
O8 0.144 0.296 0.263
O9 0.144 0.704 0.763
O10 0.144 0.761 0.262
O11 0.147 0.407 0.983
O12 0.147 0.593 0.483
O13 0.385 0.256 0.511
O14 0.385 0.744 0.011
O15 0.386 0.482 0.263
O16 0.386 0.518 0.763
O17 0.401 0.255 0.014
O18 0.401 0.745 0.514
O19 0.408 0.025 0.761
O20 0.408 0.975 0.261
O21 0.638 0.398 0.554
O22 0.638 0.602 0.054
O23 0.640 0.105 0.481
O24 0.640 0.895 0.981
O25 0.642 0.218 0.762
O26 0.642 0.782 0.262
O27 0.644 0.272 0.263
O28 0.644 0.728 0.763
O29 0.646 0.398 0.971
O30 0.646 0.602 0.471
O31 0.648 0.104 0.042
O32 0.648 0.896 0.542
O33 0.871 0.021 0.760
O34 0.871 0.979 0.260
O35 0.886 0.259 0.515
O36 0.886 0.741 0.015
O37 0.899 0.482 0.263
O38 0.899 0.518 0.763
O39 0.900 0.257 0.012
O40 0.900 0.743 0.512

Summary:
Space-group type: Pc (7)
Total moment, μB per formula unit: 0.00
E_tot, eV/atom: -7.589
Energy above the most stable polymorph in this dataset, meV/atom: 23

---

Entry 3:
Computed, not measured: an optimized crystal structure of Li11U4W8O40 at the PBE+U level of DFT.

Cell: 7.688 12.973 7.813 Å, 90.00 90.01 90.00°
Positions (direct):
Li1 0.000 0.000 0.000
Li2 0.000 0.495 0.500
Li3 0.249 0.501 0.690
Li4 0.251 0.513 0.310
Li5 0.266 0.011 0.175
Li6 0.273 0.002 0.833
Li7 0.500 0.520 0.500
Li8 0.727 0.002 0.167
Li9 0.734 0.011 0.825
Li10 0.749 0.513 0.690
Li11 0.751 0.501 0.310
U1 0.000 0.028 0.500
U2 0.000 0.528 0.000
U3 0.500 0.488 0.000
U4 0.500 0.986 0.500
W1 0.249 0.750 0.510
W2 0.250 0.252 0.990
W3 0.250 0.264 0.490
W4 0.250 0.764 0.010
W5 0.750 0.252 0.010
W6 0.750 0.264 0.510
W7 0.750 0.764 0.990
W8 0.751 0.750 0.490
O1 0.000 0.027 0.255
O2 0.000 0.027 0.745
O3 0.000 0.223 0.500
O4 0.000 0.248 0.000
O5 0.000 0.527 0.248
O6 0.000 0.527 0.752
O7 0.000 0.720 0.000
O8 0.000 0.737 0.500
O9 0.199 0.902 0.007
O10 0.207 0.405 0.495
O11 0.221 0.907 0.505
O12 0.224 0.412 0.993
O13 0.250 0.259 0.745
O14 0.250 0.260 0.246
O15 0.250 0.756 0.255
O16 0.250 0.756 0.755
O17 0.276 0.113 0.996
O18 0.279 0.107 0.494
O19 0.280 0.606 0.006
O20 0.292 0.610 0.505
O21 0.498 0.985 0.259
O22 0.500 0.277 0.500
O23 0.500 0.292 0.000
O24 0.500 0.488 0.248
O25 0.500 0.488 0.752
O26 0.500 0.777 0.000
O27 0.500 0.791 0.500
O28 0.502 0.985 0.741
O29 0.708 0.610 0.495
O30 0.720 0.606 0.994
O31 0.721 0.107 0.506
O32 0.724 0.113 0.004
O33 0.750 0.259 0.255
O34 0.750 0.260 0.754
O35 0.750 0.756 0.245
O36 0.750 0.756 0.745
O37 0.776 0.412 0.007
O38 0.779 0.907 0.495
O39 0.793 0.405 0.505
O40 0.801 0.902 0.993

Summary:
Space-group type: P2 (3)
Total moment, μB per formula unit: 2.56
E_tot, eV/atom: -7.452

---

Entry 4:
Computed, not measured: an optimized crystal structure of Li2UW2O10 at the PBE+U level of DFT.

Cell: 7.632 7.811 12.949 Å, 90.00 90.00 90.00°
Positions (direct):
Li1 0.000 0.000 0.238
Li2 0.000 0.500 0.741
Li3 0.249 0.309 0.744
Li4 0.251 0.809 0.256
Li5 0.500 0.000 0.259
Li6 0.500 0.500 0.762
Li7 0.749 0.191 0.256
Li8 0.751 0.691 0.744
U1 0.000 0.000 0.770
U2 0.000 0.500 0.270
U3 0.500 0.000 0.730
U4 0.500 0.500 0.230
W1 0.249 0.518 0.508
W2 0.250 0.477 0.992
W3 0.250 0.977 0.008
W4 0.251 0.018 0.492
W5 0.749 0.982 0.492
W6 0.750 0.023 0.008
W7 0.750 0.523 0.992
W8 0.751 0.482 0.508
O1 0.000 0.000 0.479
O2 0.000 0.000 0.962
O3 0.000 0.500 0.462
O4 0.000 0.500 0.979
O5 0.009 0.739 0.273
O6 0.010 0.239 0.772
O7 0.200 0.486 0.643
O8 0.201 0.974 0.144
O9 0.219 0.010 0.651
O10 0.220 0.502 0.152
O11 0.246 0.240 0.007
O12 0.247 0.754 0.507
O13 0.253 0.254 0.493
O14 0.254 0.740 0.993
O15 0.280 0.002 0.848
O16 0.281 0.510 0.349
O17 0.299 0.474 0.856
O18 0.300 0.986 0.357
O19 0.490 0.739 0.228
O20 0.491 0.239 0.727
O21 0.500 0.000 0.021
O22 0.500 0.000 0.538
O23 0.500 0.500 0.038
O24 0.500 0.500 0.521
O25 0.509 0.761 0.727
O26 0.510 0.261 0.228
O27 0.700 0.014 0.357
O28 0.701 0.526 0.856
O29 0.719 0.490 0.349
O30 0.720 0.998 0.848
O31 0.746 0.260 0.993
O32 0.747 0.746 0.493
O33 0.753 0.246 0.507
O34 0.754 0.760 0.007
O35 0.780 0.498 0.152
O36 0.781 0.990 0.651
O37 0.799 0.026 0.144
O38 0.800 0.514 0.643
O39 0.990 0.761 0.772
O40 0.991 0.261 0.273

Summary:
Space-group type: P2_12_12 (18)
Total moment, μB per formula unit: 0.00
E_tot, eV/atom: -7.611
Energy above the most stable polymorph in this dataset, meV/atom: 1

---

Repeat the fourth record exactly.
Computed, not measured: an optimized crystal structure of Li2UW2O10 at the PBE+U level of DFT.

Cell: 7.632 7.811 12.949 Å, 90.00 90.00 90.00°
Positions (direct):
Li1 0.000 0.000 0.238
Li2 0.000 0.500 0.741
Li3 0.249 0.309 0.744
Li4 0.251 0.809 0.256
Li5 0.500 0.000 0.259
Li6 0.500 0.500 0.762
Li7 0.749 0.191 0.256
Li8 0.751 0.691 0.744
U1 0.000 0.000 0.770
U2 0.000 0.500 0.270
U3 0.500 0.000 0.730
U4 0.500 0.500 0.230
W1 0.249 0.518 0.508
W2 0.250 0.477 0.992
W3 0.250 0.977 0.008
W4 0.251 0.018 0.492
W5 0.749 0.982 0.492
W6 0.750 0.023 0.008
W7 0.750 0.523 0.992
W8 0.751 0.482 0.508
O1 0.000 0.000 0.479
O2 0.000 0.000 0.962
O3 0.000 0.500 0.462
O4 0.000 0.500 0.979
O5 0.009 0.739 0.273
O6 0.010 0.239 0.772
O7 0.200 0.486 0.643
O8 0.201 0.974 0.144
O9 0.219 0.010 0.651
O10 0.220 0.502 0.152
O11 0.246 0.240 0.007
O12 0.247 0.754 0.507
O13 0.253 0.254 0.493
O14 0.254 0.740 0.993
O15 0.280 0.002 0.848
O16 0.281 0.510 0.349
O17 0.299 0.474 0.856
O18 0.300 0.986 0.357
O19 0.490 0.739 0.228
O20 0.491 0.239 0.727
O21 0.500 0.000 0.021
O22 0.500 0.000 0.538
O23 0.500 0.500 0.038
O24 0.500 0.500 0.521
O25 0.509 0.761 0.727
O26 0.510 0.261 0.228
O27 0.700 0.014 0.357
O28 0.701 0.526 0.856
O29 0.719 0.490 0.349
O30 0.720 0.998 0.848
O31 0.746 0.260 0.993
O32 0.747 0.746 0.493
O33 0.753 0.246 0.507
O34 0.754 0.760 0.007
O35 0.780 0.498 0.152
O36 0.781 0.990 0.651
O37 0.799 0.026 0.144
O38 0.800 0.514 0.643
O39 0.990 0.761 0.772
O40 0.991 0.261 0.273

Summary:
Space-group type: P2_12_12 (18)
Total moment, μB per formula unit: 0.00
E_tot, eV/atom: -7.611
Energy above the most stable polymorph in this dataset, meV/atom: 1

---

What did the second record say?
Computed, not measured: an optimized crystal structure of Li2UW2O10 at the PBE+U level of DFT.

Cell: 7.883 13.071 7.616 Å, 90.00 90.02 90.00°
Positions (direct):
Li1 0.000 0.005 0.000
Li2 0.000 0.995 0.500
Li3 0.457 0.493 0.012
Li4 0.457 0.507 0.512
Li5 0.643 0.487 0.763
Li6 0.643 0.513 0.263
Li7 0.829 0.493 0.514
Li8 0.829 0.507 0.014
U1 0.143 0.482 0.263
U2 0.143 0.518 0.763
U3 0.635 0.021 0.761
U4 0.635 0.979 0.261
W1 0.119 0.244 0.511
W2 0.119 0.756 0.011
W3 0.168 0.244 0.013
W4 0.168 0.756 0.513
W5 0.619 0.257 0.512
W6 0.619 0.743 0.012
W7 0.667 0.257 0.013
W8 0.667 0.743 0.513
O1 0.131 0.113 0.462
O2 0.131 0.887 0.962
O3 0.138 0.408 0.542
O4 0.138 0.592 0.042
O5 0.141 0.114 0.062
O6 0.141 0.886 0.562
O7 0.144 0.239 0.762
O8 0.144 0.296 0.263
O9 0.144 0.704 0.763
O10 0.144 0.761 0.262
O11 0.147 0.407 0.983
O12 0.147 0.593 0.483
O13 0.385 0.256 0.511
O14 0.385 0.744 0.011
O15 0.386 0.482 0.263
O16 0.386 0.518 0.763
O17 0.401 0.255 0.014
O18 0.401 0.745 0.514
O19 0.408 0.025 0.761
O20 0.408 0.975 0.261
O21 0.638 0.398 0.554
O22 0.638 0.602 0.054
O23 0.640 0.105 0.481
O24 0.640 0.895 0.981
O25 0.642 0.218 0.762
O26 0.642 0.782 0.262
O27 0.644 0.272 0.263
O28 0.644 0.728 0.763
O29 0.646 0.398 0.971
O30 0.646 0.602 0.471
O31 0.648 0.104 0.042
O32 0.648 0.896 0.542
O33 0.871 0.021 0.760
O34 0.871 0.979 0.260
O35 0.886 0.259 0.515
O36 0.886 0.741 0.015
O37 0.899 0.482 0.263
O38 0.899 0.518 0.763
O39 0.900 0.257 0.012
O40 0.900 0.743 0.512

Summary:
Space-group type: Pc (7)
Total moment, μB per formula unit: 0.00
E_tot, eV/atom: -7.589
Energy above the most stable polymorph in this dataset, meV/atom: 23